# 1
DFT (GGA-PBE) results for a geometry-optimized NdHoTl2 structure.

CIF file:
```
data_NdHoTl2
_chemical_formula_sum 'Nd1 Ho1 Tl2'
_space_group_name_H-M_alt 'P 1'
_space_group_IT_number 1
_cell_length_a 5.443
_cell_length_b 5.443
_cell_length_c 5.443
_cell_angle_alpha 60.00
_cell_angle_beta 60.00
_cell_angle_gamma 60.00
loop_
_space_group_symop_operation_xyz
'x,y,z'
loop_
_atom_site_label
_atom_site_type_symbol
_atom_site_fract_x
_atom_site_fract_y
_atom_site_fract_z
Tl1 Tl 0.750 0.750 0.750
Tl2 Tl 0.250 0.250 0.250
Nd1 Nd 0.000 0.000 0.000
Ho1 Ho 0.500 0.500 0.500
```

***

# 2
DFT (GGA-PBE) results for a geometry-optimized NdHoZn2 structure.

CIF file:
```
data_NdHoZn2
_chemical_formula_sum 'Nd1 Ho1 Zn2'
_space_group_name_H-M_alt 'P 1'
_space_group_IT_number 1
_cell_length_a 5.121
_cell_length_b 5.121
_cell_length_c 5.121
_cell_angle_alpha 60.00
_cell_angle_beta 60.00
_cell_angle_gamma 60.00
loop_
_space_group_symop_operation_xyz
'x,y,z'
loop_
_atom_site_label
_atom_site_type_symbol
_atom_site_fract_x
_atom_site_fract_y
_atom_site_fract_z
Ho1 Ho 0.500 0.500 0.500
Zn1 Zn 0.250 0.250 0.250
Zn2 Zn 0.750 0.750 0.750
Nd1 Nd 0.000 0.000 0.000
```

***

Number 1: DFT formation energy -0.3544 eV/atom. Number 2: DFT formation energy -0.3251 eV/atom.